A plane-wave DFT calculation with PBE-GGA was carried out for TbB3O6 after structural relaxation.

Structure (extended XYZ):
```
20
Lattice="-3.0788 4.2051 3.9148 3.0788 -4.2051 3.9148 3.0788 4.2051 -3.9148" Properties=species:S:1:pos:R:3 pbc="T T T"
Tb 0.0000 0.0000 1.9574
Tb 0.0000 0.0000 5.8723
B 3.8095 1.5341 0.0000
B 3.0788 0.0000 1.9574
B 0.7307 2.6710 0.0000
B 2.3481 1.5341 3.9148
B 0.0000 4.2051 1.9574
B -0.7307 2.6710 3.9148
O 2.1409 -0.8738 1.1880
O 0.3956 1.3681 0.0000
O 0.9379 3.3313 -1.1880
O 4.0167 0.8738 1.1880
O 3.4744 2.8370 0.0000
O 2.1409 0.8738 2.7268
O 0.9379 3.3313 1.1880
O -0.3956 1.3681 3.9148
O -0.9379 3.3313 2.7268
O 2.1409 0.8738 5.1028
O 2.6832 2.8370 3.9148
O 0.9379 5.0789 2.7268
```

crystal system = orthorhombic
DFT formation energy = -3.16 eV/atom
energy with MP2020 corrections = -8.598 eV/atom
energy above the most stable polymorph in this dataset = 36.1 meV per atom

***

A plane-wave DFT calculation with PBE-GGA was carried out for CaTaNO2 after structural relaxation.

Structure (extended XYZ):
```
20
Lattice="5.5657 0.0000 0.0000 0.0000 5.6855 0.0000 -5.5209 0.0000 7.9049" Properties=species:S:1:pos:R:3 pbc="T T T"
Ca -0.0610 0.2349 1.9414
Ca -2.8215 2.6078 5.8938
Ca 2.8663 3.0777 2.0111
Ca 0.1058 5.4506 5.9635
Ta -2.7605 0.0000 3.9524
Ta 0.0000 2.8428 0.0000
Ta 2.7829 0.0000 0.0000
Ta 0.0224 2.8428 3.9524
N -4.3534 1.2014 7.5660
N -1.5929 1.6413 3.6136
N 1.6377 4.0442 4.2913
N 4.3982 4.4841 0.3389
O -3.9019 4.0345 7.5193
O -1.1414 4.4938 3.5668
O -2.2599 0.1275 5.9308
O 0.5006 2.7153 1.9783
O -0.4558 2.9702 5.9265
O 2.3047 5.5580 1.9741
O 1.1862 1.1917 4.3381
O 3.9467 1.6510 0.3856
```

total magnetization = 0.000 μB per formula unit
crystal system = monoclinic
DFT formation energy = -2.63 eV/atom
energy with MP2020 corrections = -9.050 eV/atom

***

A plane-wave DFT calculation with PBE-GGA was carried out for Sr5I2O12 after structural relaxation.

Structure (extended XYZ):
```
114
Lattice="5.0851 2.9359 19.1476 -5.0851 2.9359 19.1476 0.0000 -5.8717 19.1476" Properties=species:S:1:pos:R:3 pbc="T T T"
Sr -3.6267 -0.1240 21.9935
Sr -1.6644 -2.9711 20.2325
Sr -3.3791 -0.2670 25.8754
Sr 0.0000 0.0000 5.9792
Sr -1.6644 -2.9007 27.6365
Sr -3.3442 -0.0089 29.8062
Sr -1.4584 -3.0599 31.5673
Sr 0.0000 0.0000 14.3607
Sr -1.7059 -3.2028 35.4493
Sr -3.4052 -0.0442 37.2102
Sr -1.7408 2.9269 20.2325
Sr 0.0000 0.0000 22.7422
Sr 1.9208 -3.0788 21.9935
Sr -1.6799 2.8917 27.6365
Sr 1.9208 -2.7929 25.8755
Sr -1.9208 2.7929 31.5673
Sr 1.6799 -2.8917 29.8063
Sr -1.9208 3.0788 35.4492
Sr 0.0000 0.0000 34.7005
Sr 1.7408 -2.9269 37.2102
Sr 3.4052 0.0441 20.2325
Sr 1.7059 3.2028 21.9935
Sr 0.0000 0.0000 43.0820
Sr 1.4584 3.0599 25.8755
Sr 3.3442 0.0089 27.6364
Sr 1.6644 2.9007 29.8063
Sr 0.0000 0.0000 51.4636
Sr 3.3791 0.2670 31.5673
Sr 1.6644 2.9711 37.2102
Sr 3.6267 0.1241 35.4493
I 0.0000 0.0000 0.0000
I -1.7616 -2.9359 23.9345
I 0.0000 0.0000 9.3621
I -3.4233 0.0576 33.5082
I 0.0000 0.0000 19.3593
I -1.6617 2.9935 23.9345
I 0.0000 0.0000 28.7214
I 1.6617 -2.9935 33.5082
I 0.0000 0.0000 38.0834
I 3.4233 -0.0576 23.9345
I 0.0000 0.0000 48.0806
I 1.7616 2.9359 33.5083
O -0.6371 -4.4035 18.0983
O -1.0216 -1.2388 10.3703
O -1.5357 0.3030 8.2337
O -2.0002 -0.0170 12.9497
O -0.0781 -3.6807 14.3717
O -3.1485 1.9080 14.3717
O -2.0002 0.0170 15.7716
O 0.5055 -1.4814 8.2337
O -3.4950 2.7535 18.0983
O -1.9365 -1.0278 23.9455
O -0.5620 -1.5041 18.3510
O -4.1321 -1.6500 39.3444
O -0.4650 -2.7988 22.5716
O -1.5357 -0.3030 20.4876
O -0.5620 1.5041 10.3704
O -2.8937 -1.1337 32.1454
O -0.4650 -3.0729 25.2973
O 1.0148 -1.7237 12.9497
O 0.9854 -1.7407 15.7716
O -2.1913 1.8022 22.5716
O -1.0216 1.2388 18.3510
O -2.6564 -0.9967 34.8711
O 1.0302 1.1784 8.2337
O -2.4287 1.9392 25.2973
O -1.5901 -0.1824 27.6721
O 1.5836 -0.2653 10.3704
O -3.2267 -1.7727 43.0710
O -0.6371 -1.4682 29.7706
O 1.0302 -1.1784 20.4876
O 0.9854 1.7407 12.9497
O -0.0781 -2.1910 33.4972
O -1.8584 1.1632 33.4972
O 1.0148 1.7237 15.7716
O 1.5836 0.2653 18.3510
O 0.5054 1.4814 20.4876
O -0.9530 1.2859 29.7706
O 0.9530 -1.2859 27.6720
O -0.5055 -1.4814 36.9551
O -1.5836 -0.2653 39.0917
O -1.0148 -1.7237 41.6711
O 1.8584 -1.1632 23.9455
O 0.0782 2.1910 23.9455
O -0.9854 -1.7407 44.4930
O -1.0302 1.1785 36.9551
O 0.6371 1.4682 27.6720
O 3.2267 1.7727 14.3717
O -1.5836 0.2653 47.0724
O 1.5901 0.1824 29.7707
O 2.4287 -1.9392 32.1454
O -1.0302 -1.1785 49.2089
O 2.6564 0.9967 22.5716
O 1.0216 -1.2388 39.0917
O 2.1913 -1.8022 34.8711
O -0.9854 1.7407 41.6711
O -1.0148 1.7237 44.4930
O 0.4650 3.0729 32.1454
O 2.8937 1.1337 25.2973
O 0.5620 -1.5041 47.0724
O 1.5357 0.3030 36.9551
O 0.4650 2.7988 34.8711
O 4.1321 1.6500 18.0983
O 0.5620 1.5041 39.0917
O 1.9365 1.0278 33.4972
O 3.4950 -2.7535 39.3444
O -0.5055 1.4814 49.2090
O 2.0002 -0.0170 41.6711
O 3.1485 -1.9081 43.0709
O 0.0782 3.6807 43.0709
O 2.0002 0.0170 44.4930
O 1.5357 -0.3030 49.2090
O 1.0216 1.2388 47.0723
O 0.6371 4.4035 39.3444
```

total magnetization = 0.025 μB per formula unit
crystal system = trigonal
DFT formation energy = -2.35 eV/atom
energy with MP2020 corrections = -6.080 eV/atom

***

A plane-wave DFT calculation with PBE-GGA was carried out for Mg3TiNi2 after structural relaxation.

Structure (extended XYZ):
```
24
Lattice="0.0000 5.8133 5.8133 5.8133 0.0000 5.8133 5.8133 5.8133 0.0000" Properties=species:S:1:pos:R:3 pbc="T T T"
Mg 4.3600 4.3600 0.7861
Mg 4.3600 0.7861 4.3600
Mg 7.9339 4.3600 4.3600
Mg 7.2667 7.2667 3.6928
Mg 7.2667 3.6928 7.2667
Mg 10.8406 7.2667 7.2667
Mg 0.7861 4.3600 4.3600
Mg 4.3600 7.9339 4.3600
Mg 4.3600 4.3600 7.9339
Mg 3.6928 7.2667 7.2667
Mg 7.2667 10.8406 7.2667
Mg 7.2667 7.2667 10.8406
Ti 5.8133 2.9067 2.9067
Ti 2.9067 5.8133 2.9067
Ti 2.9067 2.9067 5.8133
Ti 5.8133 5.8133 5.8133
Ni 3.4239 3.4239 3.4239
Ni 5.2961 5.2961 3.4239
Ni 5.2961 3.4239 5.2961
Ni 8.2028 6.3306 6.3306
Ni 3.4239 5.2961 5.2961
Ni 6.3306 8.2028 6.3306
Ni 6.3306 6.3306 8.2028
Ni 8.2028 8.2028 8.2028
```

crystal system = cubic
DFT formation energy = -0.26 eV/atom

***

A plane-wave DFT calculation with PBE-GGA was carried out for LiUBr4 after structural relaxation.

Structure (extended XYZ):
```
18
Lattice="7.3478 0.0000 0.0000 -3.6739 6.3634 0.0000 0.0000 0.0000 12.7238" Properties=species:S:1:pos:R:3 pbc="T T T"
Li 0.0000 0.0000 0.0000
Li 0.0000 4.2423 6.3619
Li 3.6739 2.1211 6.3619
U 0.0000 0.0000 6.3619
U 0.0000 4.2423 0.0000
U 3.6739 2.1211 0.0000
Br -1.1761 2.0370 11.1544
Br -1.2233 2.1188 4.8656
Br -2.4506 4.2446 7.8583
Br -2.4978 4.3264 1.5694
Br 2.3521 0.0000 11.1544
Br 1.1761 2.0370 1.5694
Br 2.4466 0.0000 4.8656
Br 1.2233 2.1188 7.8583
Br 4.9012 0.0000 7.8583
Br 2.4506 4.2446 4.8656
Br 4.9957 0.0000 1.5694
Br 2.4978 4.3264 11.1544
```

total magnetization = 3.004 μB per formula unit
crystal system = trigonal
DFT formation energy = -1.73 eV/atom
energy with MP2020 corrections = -5.026 eV/atom

***

A plane-wave DFT calculation with PBE-GGA was carried out for NdNiBi after structural relaxation.

Structure (extended XYZ):
```
3
Lattice="0.0000 3.3136 3.3136 3.3136 0.0000 3.3136 3.3136 3.3136 0.0000" Properties=species:S:1:pos:R:3 pbc="T T T"
Nd 0.0000 0.0000 0.0000
Ni 4.9704 4.9704 4.9704
Bi 3.3136 3.3136 3.3136
```

crystal system = cubic
DFT formation energy = -0.66 eV/atom

***

A plane-wave DFT calculation with PBE-GGA was carried out for CsPbCl3 after structural relaxation.

Structure (extended XYZ):
```
5
Lattice="5.7339 0.0000 0.0000 0.0000 5.7339 0.0000 0.0000 0.0000 5.7339" Properties=species:S:1:pos:R:3 pbc="T T T"
Cs 0.0000 0.0000 0.0000
Pb 2.8670 2.8670 2.8670
Cl 0.0000 2.8670 2.8670
Cl 2.8670 0.0000 2.8670
Cl 2.8670 2.8670 0.0000
```

crystal system = cubic
DFT formation energy = -1.88 eV/atom
energy with MP2020 corrections = -3.912 eV/atom

***

A plane-wave DFT calculation with PBE-GGA was carried out for Ta3V3Ni40B12 after structural relaxation.

Structure (extended XYZ):
```
58
Lattice="3.7240 2.1501 12.1117 -3.7240 2.1501 12.1117 0.0000 -4.3001 12.1117" Properties=species:S:1:pos:R:3 pbc="T T T"
Ta 0.0000 0.0000 0.0000
Ta 0.0000 0.0000 4.5401
Ta 0.0000 0.0000 22.7077
V 0.0000 0.0000 9.0848
V 0.0000 0.0000 18.1634
V 0.0000 0.0000 27.2518
Ni 0.0000 -2.2534 8.2757
Ni -1.9515 1.1267 8.2757
Ni -1.7711 -1.0225 14.3578
Ni -1.2742 -2.0875 16.6588
Ni -2.4450 -0.0597 16.6588
Ni -1.9663 -1.1353 18.9655
Ni 0.0000 -1.9590 12.9330
Ni -1.6965 0.9795 12.9330
Ni -1.2763 -2.2131 22.7021
Ni -2.5548 0.0012 22.7021
Ni 0.0000 -2.8214 18.7230
Ni -2.4434 1.4107 18.7230
Ni -2.4424 -1.4101 26.6921
Ni 0.0000 0.0000 11.4443
Ni 0.0000 0.0000 15.7692
Ni 0.0000 -1.4739 20.6291
Ni -1.2764 0.7369 20.6291
Ni -1.2798 -0.7389 24.7852
Ni 1.2742 -2.0875 16.6588
Ni -1.1708 2.1472 16.6588
Ni 1.7711 -1.0225 14.3577
Ni 0.0000 2.0451 14.3577
Ni 1.9515 1.1267 8.2756
Ni 1.2763 -2.2131 22.7021
Ni -1.2784 2.2119 22.7021
Ni 1.6965 0.9795 12.9330
Ni 1.9663 -1.1352 18.9655
Ni 0.0000 2.2705 18.9655
Ni 2.4450 -0.0597 16.6588
Ni 1.1708 2.1472 16.6588
Ni 1.2764 0.7369 20.6291
Ni 1.2798 -0.7389 24.7852
Ni 0.0000 1.4777 24.7852
Ni 0.0000 0.0000 29.6499
Ni 0.0000 0.0000 33.8591
Ni 2.4434 1.4107 18.7231
Ni 2.4424 -1.4101 26.6921
Ni 0.0000 2.8202 26.6921
Ni 2.5548 0.0012 22.7021
Ni 1.2784 2.2119 22.7021
B -1.7378 -1.0033 12.2154
B -1.9863 -1.1468 21.0783
B 0.0000 -2.0010 15.0390
B -1.7330 1.0005 15.0390
B 1.7378 -1.0033 12.2154
B 0.0000 2.0066 12.2154
B -1.7333 -1.0007 30.3872
B 1.7330 1.0005 15.0391
B 1.9863 -1.1468 21.0783
B 0.0000 2.2936 21.0783
B 1.7333 -1.0007 30.3872
B 0.0000 2.0015 30.3872
```

total magnetization = 0.015 μB per formula unit
crystal system = trigonal
DFT formation energy = -0.34 eV/atom

***

A plane-wave DFT calculation with PBE-GGA was carried out for Co3Ni9P4 after structural relaxation.

Structure (extended XYZ):
```
16
Lattice="4.3735 0.0000 0.0000 2.1783 6.2832 0.0000 2.1757 0.0047 6.3020" Properties=species:S:1:pos:R:3 pbc="T T T"
Co 0.0000 0.0000 0.0000
Co 4.3588 5.8806 3.9754
Co 6.5246 4.9056 5.3478
Ni 4.3772 3.6412 5.4650
Ni 3.3656 3.9969 1.3371
Ni 2.1512 0.1265 1.2910
Ni 3.3718 1.8939 2.6452
Ni 4.3203 0.9773 4.9300
Ni 5.3343 3.6007 3.0446
Ni 6.5135 5.7676 2.6837
Ni 6.5507 2.2566 4.8130
Ni 5.3457 2.2907 0.9344
P 3.1732 3.9982 3.6416
P 3.1893 1.8926 0.3415
P 5.5316 4.5934 0.9347
P 5.5457 1.2928 3.0310
```

total magnetization = 3.693 μB per formula unit
crystal system = triclinic
DFT formation energy = -0.39 eV/atom

***

A plane-wave DFT calculation with PBE-GGA was carried out for BaC10 after structural relaxation.

Structure (extended XYZ):
```
66
Lattice="-5.6541 5.6541 5.6541 5.6541 -5.6541 5.6541 5.6541 5.6541 -5.6541" Properties=species:S:1:pos:R:3 pbc="T T T"
Ba 5.6541 0.0000 2.5155
Ba 5.6541 3.1386 0.0000
Ba 2.5155 5.6541 0.0000
Ba 3.1386 0.0000 5.6541
Ba 0.0000 2.5155 5.6541
Ba 0.0000 5.6541 3.1386
C 4.9344 3.3184 -3.0507
C 3.0732 1.4482 -1.1740
C 6.3738 3.3184 -3.0507
C 8.2349 1.4482 -1.1740
C 3.5205 0.7267 0.0000
C 7.7877 0.7267 0.0000
C 2.6034 -0.7197 2.3357
C 8.7048 -0.7197 2.3357
C 4.4800 -2.5809 4.2058
C 6.8281 -2.5809 4.2058
C 2.3357 2.6034 -0.7197
C 3.3184 -3.0507 4.9344
C 4.2058 4.4800 -2.5809
C 1.4482 -1.1740 3.0732
C 3.0732 1.4482 1.1740
C 8.2349 1.4482 1.1740
C 5.6541 -2.1336 4.9274
C 2.6034 0.7197 2.3357
C 8.7048 0.7197 2.3357
C 2.3357 2.6034 0.7197
C 3.3184 -3.0507 6.3738
C 4.9274 5.6541 -2.1336
C 0.7267 0.0000 3.5205
C 0.0000 3.5205 0.7267
C 4.2058 6.8281 -2.5809
C 1.4482 1.1740 3.0732
C -1.1740 3.0732 1.4482
C 1.1740 3.0732 1.4482
C -0.7197 2.3357 2.6034
C 0.7197 2.3357 2.6034
C 4.9344 3.3184 3.0507
C 6.3738 3.3184 3.0507
C 4.4800 2.5809 4.2058
C 6.8281 2.5809 4.2058
C 4.2058 4.4800 2.5809
C 1.4482 -1.1740 8.2349
C 5.6541 2.1336 4.9274
C 4.9274 5.6541 2.1336
C 0.7267 0.0000 7.7877
C 2.3357 8.7048 -0.7197
C 3.3184 3.0507 4.9344
C -3.0507 4.9344 3.3184
C 3.0507 4.9344 3.3184
C 0.0000 7.7877 0.7267
C -2.5809 4.2058 4.4800
C 2.5809 4.2058 4.4800
C 4.2058 6.8281 2.5809
C 1.4482 1.1740 8.2349
C 2.3357 8.7048 0.7197
C 3.3184 3.0507 6.3738
C -1.1740 8.2349 1.4482
C 1.1740 8.2349 1.4482
C -3.0507 6.3738 3.3184
C 3.0507 6.3738 3.3184
C -2.1336 4.9274 5.6541
C 2.1336 4.9274 5.6541
C -2.5809 4.2058 6.8281
C -0.7197 2.3357 8.7048
C 2.5809 4.2058 6.8281
C 0.7197 2.3357 8.7048
```

total magnetization = 0.000 μB per formula unit
crystal system = cubic
DFT formation energy = 0.17 eV/atom

***

A plane-wave DFT calculation with PBE-GGA was carried out for Li2WS4 after structural relaxation.

Structure (extended XYZ):
```
7
Lattice="6.0698 0.0000 0.0000 0.0000 6.0698 0.0000 0.0000 0.0000 5.4501" Properties=species:S:1:pos:R:3 pbc="T T T"
Li 0.0000 3.0349 0.0000
Li 3.0349 0.0000 0.0000
W 0.0000 0.0000 0.0000
S 1.2936 1.2936 1.2527
S 1.2936 4.7762 4.1974
S 4.7762 1.2936 4.1974
S 4.7762 4.7762 1.2527
```

total magnetization = 0.000 μB per formula unit
crystal system = tetragonal
DFT formation energy = -1.14 eV/atom
energy with MP2020 corrections = -5.896 eV/atom
maximum piezoelectric response = 0.05 C/m²
energy above the most stable polymorph in this dataset = 5.2 meV per atom